[1]
! SiC (PBE-GGA, optimized geometry); values from VASP
! ΔH_f (0 K)   -0.195 eV/atom
! E   -105.3 eV for the cell shown
! Density   3.2 g cm⁻³
! Piezoelectric modulus e_max   0.08 C/m²
! Energy above the most stable polymorph in this dataset   9 meV/atom
&SYSTEM
  ibrav = 0, nat = 14, ntyp = 2
/
ATOMIC_SPECIES
C 12.01 C.upf
Si 28.09 Si.upf
ATOMIC_POSITIONS crystal
C 0.226 0.226 0.226
C 0.607 0.607 0.607
C 0.464 0.464 0.464
C 0.036 0.036 0.036
C 0.750 0.750 0.750
C 0.321 0.321 0.321
C 0.845 0.845 0.845
Si 0.429 0.429 0.429
Si 0.190 0.190 0.190
Si 0.000 0.000 0.000
Si 0.810 0.810 0.810
Si 0.286 0.286 0.286
Si 0.571 0.571 0.571
Si 0.714 0.714 0.714
CELL_PARAMETERS angstrom
17.732 -1.548 0.000
17.732 1.548 0.000
17.597 0.000 2.677


[2]
! Np3B (PBE-GGA, optimized geometry); values from VASP
! ΔH_f (0 K)   0.293 eV/atom
! Spin magnetization   0.8 μB per cell
! E   -44.3 eV for the cell shown
! Density   19.7 g cm⁻³
&SYSTEM
  ibrav = 0, nat = 4, ntyp = 2
/
ATOMIC_SPECIES
Np 237.00 Np.upf
B 10.81 B.upf
ATOMIC_POSITIONS crystal
Np 0.250 0.250 0.250
Np 0.500 0.500 0.500
Np 0.000 0.000 0.000
B 0.750 0.750 0.750
CELL_PARAMETERS angstrom
0.398 -4.283 -1.005
-3.087 -2.873 1.316
-2.716 -1.835 -2.962


[3]
! Cs2KPrBr6 (PBE-GGA, optimized geometry); values from VASP
! ΔH_f (0 K)   -2.175 eV/atom
! Spin magnetization   0.0 μB per cell
! E   -36.0 eV for the cell shown
! Density   3.4 g cm⁻³
&SYSTEM
  ibrav = 0, nat = 10, ntyp = 4
/
ATOMIC_SPECIES
Br 79.90 Br.upf
Pr 140.91 Pr.upf
Cs 132.91 Cs.upf
K 39.10 K.upf
ATOMIC_POSITIONS crystal
Br 0.761 0.239 0.239
Br 0.239 0.761 0.239
Br 0.239 0.761 0.761
Br 0.239 0.239 0.761
Br 0.761 0.239 0.761
Br 0.761 0.761 0.239
Pr 0.000 0.000 0.000
Cs 0.750 0.750 0.750
Cs 0.250 0.250 0.250
K 0.500 0.500 0.500
CELL_PARAMETERS angstrom
0.000 6.081 6.081
6.081 0.000 6.081
6.081 6.081 0.000


[4]
! Na21Nb4Zn8Si3P15O72 (PBE-GGA, optimized geometry); values from VASP
! ΔH_f (0 K)   -2.586 eV/atom
! Spin magnetization   0.0 μB per cell
! E   -800.6 eV for the cell shown
! Density   3.2 g cm⁻³
&SYSTEM
  ibrav = 0, nat = 123, ntyp = 6
/
ATOMIC_SPECIES
O 16.00 O.upf
P 30.97 P.upf
Na 22.99 Na.upf
Zn 65.41 Zn.upf
Nb 92.91 Nb.upf
Si 28.09 Si.upf
ATOMIC_POSITIONS crystal
O 0.013 0.831 0.411
O 0.367 0.499 0.365
O 0.504 0.367 0.423
O 0.967 0.166 0.583
O 0.506 0.861 0.078
O 0.310 0.829 0.257
O 0.476 0.315 0.028
O 0.132 0.630 0.361
O 0.818 0.027 0.802
O 0.642 0.520 0.642
O 0.498 0.864 0.361
O 0.810 0.810 0.910
O 0.216 0.021 0.309
O 0.140 0.650 0.080
O 0.504 0.642 0.580
O 0.850 0.523 0.746
O 0.357 0.495 0.079
O 0.354 0.861 0.581
O 0.211 0.177 0.802
O 0.976 0.190 0.308
O 0.849 0.491 0.423
O 0.520 0.687 0.259
O 0.555 0.847 0.479
O 0.199 0.033 0.584
O 0.821 0.997 0.411
O 0.499 0.139 0.921
O 0.807 0.781 0.308
O 0.480 0.327 0.745
O 0.139 0.456 0.981
O 0.304 0.448 0.478
O 0.767 0.956 0.690
O 0.362 0.868 0.862
O 0.202 0.169 0.084
O 0.773 0.816 0.193
O 0.847 0.325 0.247
O 0.311 0.856 0.976
O 0.510 0.644 0.863
O 0.171 0.689 0.757
O 0.009 0.178 0.912
O 0.851 0.367 0.922
O 0.140 0.491 0.580
O 0.966 0.801 0.084
O 0.480 0.122 0.642
O 0.831 0.800 0.583
O 0.031 0.222 0.192
O 0.189 0.235 0.690
O 0.674 0.153 0.745
O 0.975 0.787 0.807
O 0.041 0.816 0.693
O 0.683 0.161 0.030
O 0.518 0.833 0.757
O 0.174 0.972 0.909
O 0.551 0.692 0.977
O 0.841 0.526 0.028
O 0.487 0.364 0.140
O 0.138 0.500 0.862
O 0.473 0.157 0.529
O 0.638 0.117 0.143
O 0.632 0.147 0.423
O 0.879 0.517 0.142
O 0.186 0.197 0.410
O 0.148 0.697 0.480
O 0.880 0.361 0.642
O 0.686 0.525 0.245
O 0.185 0.961 0.194
O 0.842 0.316 0.529
O 0.636 0.495 0.921
O 0.682 0.525 0.528
O 0.832 0.032 0.083
O 0.482 0.147 0.247
O 0.166 0.481 0.257
O 0.316 0.482 0.759
P 0.665 0.627 0.585
P 0.703 0.998 0.749
P 0.296 0.296 0.749
P 0.963 0.334 0.586
P 0.702 0.701 0.250
P 0.002 0.296 0.250
P 0.297 0.003 0.251
P 0.960 0.627 0.085
P 0.333 0.961 0.919
P 0.002 0.706 0.751
P 0.334 0.375 0.420
P 0.665 0.037 0.086
P 0.630 0.668 0.920
P 0.372 0.039 0.586
P 0.375 0.335 0.084
Na 0.295 0.335 0.585
Na 0.647 0.634 0.746
Na 0.044 0.708 0.583
Na 0.002 0.016 0.995
Na 0.335 0.668 0.661
Na 0.650 0.015 0.244
Na 0.974 0.679 0.915
Na 0.367 0.014 0.747
Na 0.333 0.655 0.159
Na 0.713 0.691 0.413
Na 0.293 0.960 0.085
Na 0.314 0.022 0.412
Na 0.987 0.632 0.244
Na 0.656 0.334 0.322
Na 0.985 0.351 0.747
Na 0.043 0.337 0.082
Na 0.996 0.995 0.497
Na 0.666 0.704 0.084
Na 0.975 0.290 0.410
Na 0.663 0.956 0.583
Na 0.658 0.323 0.831
Zn 0.332 0.661 0.013
Zn 0.999 0.001 0.655
Zn 0.996 0.995 0.346
Zn 0.003 0.003 0.153
Zn 0.336 0.672 0.512
Zn 0.660 0.334 0.181
Zn 0.000 0.013 0.851
Zn 0.667 0.333 0.681
Nb 0.332 0.667 0.314
Nb 0.670 0.333 0.480
Nb 0.331 0.664 0.818
Nb 0.666 0.329 0.979
Si 0.036 0.362 0.922
Si 0.040 0.671 0.420
Si 0.630 0.960 0.420
CELL_PARAMETERS angstrom
9.082 0.018 -0.004
-4.525 7.858 0.016
-0.011 0.041 22.085


[5]
! Er3Ga5 (PBE-GGA, optimized geometry); values from VASP
! ΔH_f (0 K)   -0.640 eV/atom
! E   -135.8 eV for the cell shown
! Density   8.5 g cm⁻³
&SYSTEM
  ibrav = 0, nat = 32, ntyp = 2
/
ATOMIC_SPECIES
Ga 69.72 Ga.upf
Er 167.26 Er.upf
ATOMIC_POSITIONS crystal
Ga 0.604 0.750 0.299
Ga 0.874 0.448 0.091
Ga 0.825 0.250 0.748
Ga 0.626 0.448 0.591
Ga 0.396 0.250 0.701
Ga 0.872 0.250 0.494
Ga 0.626 0.052 0.591
Ga 0.128 0.750 0.505
Ga 0.874 0.052 0.091
Ga 0.104 0.250 0.201
Ga 0.126 0.552 0.909
Ga 0.372 0.750 0.006
Ga 0.628 0.250 0.994
Ga 0.374 0.948 0.409
Ga 0.896 0.750 0.799
Ga 0.325 0.750 0.752
Ga 0.126 0.948 0.909
Ga 0.175 0.750 0.252
Ga 0.374 0.552 0.409
Ga 0.675 0.250 0.248
Er 0.110 0.010 0.648
Er 0.848 0.750 0.073
Er 0.390 0.490 0.148
Er 0.890 0.990 0.352
Er 0.390 0.010 0.148
Er 0.348 0.250 0.427
Er 0.610 0.510 0.852
Er 0.110 0.490 0.648
Er 0.890 0.510 0.352
Er 0.652 0.750 0.573
Er 0.152 0.250 0.927
Er 0.610 0.990 0.852
CELL_PARAMETERS angstrom
-4.075 -1.035 4.386
-5.718 -4.455 -6.364
5.051 -9.861 2.366


[6]
! SrB6 (PBE-GGA, optimized geometry); values from VASP
! ΔH_f (0 K)   -0.450 eV/atom
! E   -44.9 eV for the cell shown
! Density   3.4 g cm⁻³
&SYSTEM
  ibrav = 0, nat = 7, ntyp = 2
/
ATOMIC_SPECIES
Sr 87.62 Sr.upf
B 10.81 B.upf
ATOMIC_POSITIONS crystal
Sr 0.000 0.000 0.000
B 0.500 0.500 0.203
B 0.203 0.500 0.500
B 0.500 0.797 0.500
B 0.797 0.500 0.500
B 0.500 0.500 0.797
B 0.500 0.203 0.500
CELL_PARAMETERS angstrom
-1.501 2.804 -2.743
2.233 -1.804 -3.066
-3.225 -2.554 -0.847


[7]
! Rb2NaCeI6 (PBE-GGA, optimized geometry); values from VASP
! ΔH_f (0 K)   -1.621 eV/atom
! Spin magnetization   1.0 μB per cell
! E   -32.3 eV for the cell shown
! Density   3.7 g cm⁻³
&SYSTEM
  ibrav = 0, nat = 10, ntyp = 4
/
ATOMIC_SPECIES
I 126.90 I.upf
Rb 85.47 Rb.upf
Na 22.99 Na.upf
Ce 140.12 Ce.upf
ATOMIC_POSITIONS crystal
I 0.751 0.249 0.249
I 0.249 0.751 0.751
I 0.751 0.751 0.249
I 0.249 0.249 0.751
I 0.751 0.249 0.751
I 0.249 0.751 0.249
Rb 0.250 0.250 0.250
Rb 0.750 0.750 0.750
Na 0.500 0.500 0.500
Ce 0.000 0.000 0.000
CELL_PARAMETERS angstrom
2.344 -7.654 -3.784
0.029 -7.466 4.760
-6.097 -6.239 -1.515


[8]
! Th2Ge3Ir3 (PBE-GGA, optimized geometry); values from VASP
! ΔH_f (0 K)   0.720 eV/atom
! Spin magnetization   0.0 μB per cell
! E   -49.5 eV for the cell shown
! Density   11.4 g cm⁻³
&SYSTEM
  ibrav = 0, nat = 8, ntyp = 3
/
ATOMIC_SPECIES
Ir 192.22 Ir.upf
Th 232.04 Th.upf
Ge 72.64 Ge.upf
ATOMIC_POSITIONS crystal
Ir 0.500 0.500 0.882
Ir 0.500 0.500 0.500
Ir 0.500 0.500 0.118
Th 0.500 0.500 0.238
Th 0.500 0.500 0.762
Ge 0.500 0.500 0.388
Ge 0.500 0.500 0.612
Ge 0.500 0.500 0.000
CELL_PARAMETERS angstrom
2.945 0.000 0.000
0.000 2.945 0.000
0.000 0.000 21.060


[9]
! Hg2H6CN3Cl5 (PBE-GGA, optimized geometry); values from VASP
! ΔH_f (0 K)   -0.668 eV/atom
! Spin magnetization   0.0 μB per cell
! E   -145.5 eV for the cell shown
! Density   3.6 g cm⁻³
&SYSTEM
  ibrav = 0, nat = 34, ntyp = 5
/
ATOMIC_SPECIES
H 1.01 H.upf
Cl 35.45 Cl.upf
C 12.01 C.upf
Hg 200.59 Hg.upf
N 14.01 N.upf
ATOMIC_POSITIONS crystal
H 0.665 0.198 0.206
H 0.365 0.161 0.153
H 0.161 0.365 0.847
H 0.335 0.802 0.706
H 0.429 0.414 0.187
H 0.586 0.571 0.313
H 0.571 0.586 0.687
H 0.198 0.665 0.794
H 0.635 0.839 0.653
H 0.802 0.335 0.294
H 0.839 0.635 0.347
H 0.414 0.429 0.813
Cl 0.644 0.644 0.500
Cl 0.683 0.082 0.922
Cl 0.055 0.278 0.337
Cl 0.722 0.945 0.163
Cl 0.918 0.317 0.578
Cl 0.082 0.683 0.078
Cl 0.945 0.722 0.837
Cl 0.356 0.356 0.000
Cl 0.278 0.055 0.663
Cl 0.317 0.918 0.422
C 0.386 0.614 0.750
C 0.614 0.386 0.250
Hg 0.281 0.013 0.538
Hg 0.013 0.281 0.462
Hg 0.719 0.987 0.038
Hg 0.987 0.719 0.962
N 0.440 0.299 0.194
N 0.299 0.440 0.806
N 0.301 0.699 0.750
N 0.699 0.301 0.250
N 0.701 0.560 0.306
N 0.560 0.701 0.694
CELL_PARAMETERS angstrom
-0.907 5.469 5.875
-2.197 -6.874 -3.629
11.938 -9.416 10.610


[10]
! Na2ZrP2O11 (PBE-GGA, optimized geometry); values from VASP
! ΔH_f (0 K)   -1.872 eV/atom
! Spin magnetization   4.0 μB per cell
! E   -212.8 eV for the cell shown
! Density   2.5 g cm⁻³
! Energy above the most stable polymorph in this dataset   14 meV/atom
&SYSTEM
  ibrav = 0, nat = 32, ntyp = 4
/
ATOMIC_SPECIES
O 16.00 O.upf
Zr 91.22 Zr.upf
Na 22.99 Na.upf
P 30.97 P.upf
ATOMIC_POSITIONS crystal
O 0.488 0.282 0.584
O 0.525 0.955 0.336
O 0.220 0.489 0.938
O 0.382 0.729 0.650
O 0.201 0.519 0.216
O 0.163 0.789 0.649
O 0.303 0.997 0.129
O 0.086 0.240 0.908
O 0.972 0.766 0.101
O 0.759 0.413 0.979
O 0.020 0.217 0.253
O 0.762 0.062 0.125
O 0.255 0.962 0.850
O 0.710 0.010 0.880
O 0.724 0.524 0.216
O 0.439 0.239 0.181
O 0.526 0.728 0.967
O 0.614 0.879 0.723
O 0.926 0.489 0.750
O 0.326 0.386 0.541
O 0.115 0.918 0.547
O 0.951 0.664 0.347
Zr 0.021 0.999 0.003
Zr 0.476 0.489 0.085
Na 0.987 0.932 0.341
Na 0.952 0.052 0.680
Na 0.515 0.336 0.828
Na 0.525 0.683 0.410
P 0.995 0.417 0.890
P 0.963 0.617 0.225
P 0.524 0.887 0.855
P 0.507 0.062 0.197
CELL_PARAMETERS angstrom
5.357 0.000 0.000
0.176 8.900 0.000
0.358 3.536 10.368


[11]
! KBaP3O10 (PBE-GGA, optimized geometry); values from VASP
! ΔH_f (0 K)   -2.552 eV/atom
! Spin magnetization   8.0 μB per cell
! E   -400.6 eV for the cell shown
! Density   3.0 g cm⁻³
&SYSTEM
  ibrav = 0, nat = 60, ntyp = 4
/
ATOMIC_SPECIES
P 30.97 P.upf
O 16.00 O.upf
Ba 137.33 Ba.upf
K 39.10 K.upf
ATOMIC_POSITIONS crystal
P 0.248 0.618 0.378
P 0.607 0.462 0.739
P 0.895 0.424 0.961
P 0.752 0.382 0.622
P 0.252 0.618 0.878
P 0.395 0.576 0.539
P 0.893 0.462 0.239
P 0.605 0.424 0.461
P 0.393 0.538 0.261
P 0.748 0.382 0.122
P 0.105 0.576 0.039
P 0.107 0.538 0.761
O 0.565 0.254 0.448
O 0.577 0.589 0.994
O 0.197 0.833 0.265
O 0.108 0.310 0.189
O 0.308 0.676 0.474
O 0.074 0.690 0.578
O 0.785 0.631 0.488
O 0.935 0.254 0.948
O 0.604 0.731 0.619
O 0.304 0.624 0.240
O 0.423 0.411 0.006
O 0.804 0.376 0.260
O 0.396 0.269 0.381
O 0.608 0.690 0.311
O 0.896 0.731 0.119
O 0.429 0.635 0.358
O 0.929 0.365 0.142
O 0.215 0.369 0.512
O 0.892 0.690 0.811
O 0.696 0.376 0.760
O 0.923 0.589 0.494
O 0.071 0.635 0.858
O 0.574 0.310 0.922
O 0.392 0.310 0.689
O 0.104 0.269 0.881
O 0.077 0.411 0.506
O 0.303 0.833 0.765
O 0.926 0.310 0.422
O 0.808 0.324 0.026
O 0.192 0.676 0.974
O 0.571 0.365 0.642
O 0.426 0.690 0.078
O 0.065 0.746 0.052
O 0.697 0.167 0.235
O 0.196 0.624 0.740
O 0.285 0.369 0.012
O 0.715 0.631 0.988
O 0.803 0.167 0.735
O 0.435 0.746 0.552
O 0.692 0.324 0.526
Ba 0.545 0.074 0.272
Ba 0.955 0.074 0.772
Ba 0.455 0.926 0.728
Ba 0.045 0.926 0.228
K 0.245 0.107 0.389
K 0.755 0.893 0.611
K 0.255 0.107 0.889
K 0.745 0.893 0.111
CELL_PARAMETERS angstrom
-4.556 12.904 -10.998
-6.704 -2.675 -0.361
-7.816 1.958 5.536